Record 1
The following is a PBE-GGA calculation of a relaxed structure of Mg19Al4Zn15, from Materials Project.

a b c (Å): 8.6997 8.6997 19.5168
angles (deg): 90.00 90.00 110.05
Closest atoms and distances in Å follow each position.
Positions (direct):
Al 0.7075 0.0860 0.8209  3 Zn 2.62-2.69, 1 Al 2.77
Mg 0.0430 0.6807 0.5238  5 Zn 2.89-3.04, 4 Mg 2.91-3.11, 1 Al 3.05
Mg 0.6807 0.0430 0.9762  5 Zn 2.89-3.04, 4 Mg 2.91-3.11, 1 Al 3.05
Zn 0.0000 0.0000 0.0000  4 Zn 2.68, 8 Mg 2.87-2.99
Mg 0.5209 0.5209 0.6188  5 Zn 2.84-2.99, 4 Mg 3.00-3.03
Mg 0.8214 0.4195 0.6186  4 Zn 2.79-2.96, 2 Al 2.97-3.00, 3 Mg 3.03-3.06
Zn 0.1736 0.4879 0.6120  1 Al 2.64, 3 Zn 2.66-2.79, 4 Mg 2.86-2.94
Mg 0.4241 0.6768 0.2500  5 Zn 2.69-2.97, 1 Mg 2.96
Mg 0.7167 0.7167 0.4756  8 Zn 2.86-3.10, 4 Mg 3.00-3.11
Zn 0.8264 0.5121 0.3880  1 Al 2.64, 3 Zn 2.66-2.79, 4 Mg 2.86-2.94
Mg 0.4791 0.4791 0.3812  5 Zn 2.84-2.99, 4 Mg 3.00-3.03
Zn 0.6314 0.3686 0.5000  2 Zn 2.79, 8 Mg 2.79-3.04
Zn 0.8250 0.0156 0.3889  1 Al 2.62, 4 Zn 2.66-2.72, 2 Mg 2.92-2.94
Zn 0.3686 0.6314 0.0000  2 Zn 2.79, 8 Mg 2.79-3.04
Mg 0.2833 0.2833 0.9756  8 Zn 2.86-3.10, 4 Mg 3.00-3.11
Zn 0.0000 0.0000 0.5000  4 Zn 2.68, 8 Mg 2.87-2.99
Mg 0.6807 0.0430 0.5238  5 Zn 2.89-3.04, 4 Mg 2.91-3.11, 1 Al 3.05
Zn 0.9844 0.1750 0.6111  1 Al 2.62, 4 Zn 2.66-2.72, 2 Mg 2.92-2.94
Al 0.9140 0.2925 0.1791  3 Zn 2.62-2.69, 1 Al 2.77
Zn 0.1750 0.9844 0.6111  1 Al 2.62, 4 Zn 2.66-2.72, 2 Mg 2.92-2.94
Mg 0.1783 0.1783 0.1231  5 Zn 2.92-2.99, 5 Mg 3.00-3.25, 2 Al 3.01
Mg 0.8217 0.8217 0.8769  5 Zn 2.92-2.99, 5 Mg 3.00-3.25, 2 Al 3.01
Mg 0.1783 0.1783 0.3769  5 Zn 2.92-2.99, 5 Mg 3.00-3.25, 2 Al 3.01
Mg 0.0430 0.6807 0.9762  5 Zn 2.89-3.04, 4 Mg 2.91-3.11, 1 Al 3.05
Zn 0.3686 0.6314 0.5000  2 Zn 2.79, 8 Mg 2.79-3.04
Zn 0.0156 0.8250 0.3889  1 Al 2.62, 4 Zn 2.66-2.72, 2 Mg 2.92-2.94
Mg 0.9976 0.9976 0.7500  8 Zn 2.98-3.14, 4 Mg 3.04-3.13, 4 Al 3.19
Zn 0.4879 0.1736 0.6120  1 Al 2.64, 3 Zn 2.66-2.79, 4 Mg 2.86-2.94
Zn 0.2655 0.2655 0.6830  5 Zn 2.62-2.71, 3 Mg 2.84-2.89
Zn 0.5121 0.8264 0.1120  1 Al 2.64, 3 Zn 2.66-2.79, 4 Mg 2.86-2.94
Al 0.2925 0.9140 0.1791  3 Zn 2.62-2.69, 1 Al 2.77
Zn 0.5121 0.8264 0.3880  1 Al 2.64, 3 Zn 2.66-2.79, 4 Mg 2.86-2.94
Mg 0.6768 0.4241 0.2500  5 Zn 2.69-2.97, 1 Mg 2.96
Mg 0.8214 0.4195 0.8814  4 Zn 2.79-2.96, 2 Al 2.97-3.00, 3 Mg 3.03-3.06
Zn 0.8047 0.6237 0.7500  1 Zn 2.58, 2 Al 2.69, 1 Mg 2.69
Mg 0.0209 0.6489 0.2500  4 Mg 2.96-3.13, 4 Al 3.01-3.23, 7 Zn 3.12-3.22
Mg 0.8217 0.8217 0.6231  5 Zn 2.92-2.99, 5 Mg 3.00-3.25, 2 Al 3.01
Zn 0.6237 0.8047 0.7500  1 Zn 2.58, 2 Al 2.69, 1 Mg 2.69
Mg 0.7167 0.7167 0.0244  8 Zn 2.86-3.10, 4 Mg 3.00-3.11
Mg 0.1786 0.5805 0.1186  4 Zn 2.79-2.96, 2 Al 2.97-3.00, 3 Mg 3.03-3.06
Mg 0.3232 0.5759 0.7500  5 Zn 2.69-2.97, 1 Mg 2.96
Mg 0.5209 0.5209 0.8812  5 Zn 2.84-2.99, 4 Mg 3.00-3.03
Mg 0.2833 0.2833 0.5244  8 Zn 2.86-3.10, 4 Mg 3.00-3.11
Zn 0.1953 0.3763 0.2500  1 Zn 2.58, 2 Al 2.69, 1 Mg 2.69
Zn 0.9844 0.1750 0.8889  1 Al 2.62, 4 Zn 2.66-2.72, 2 Mg 2.92-2.94
Zn 0.4879 0.1736 0.8880  1 Al 2.64, 3 Zn 2.66-2.79, 4 Mg 2.86-2.94
Zn 0.7345 0.7345 0.3170  5 Zn 2.62-2.71, 3 Mg 2.84-2.89
Mg 0.9570 0.3193 0.4762  5 Zn 2.89-3.04, 4 Mg 2.91-3.11, 1 Al 3.05
Al 0.0860 0.7075 0.8209  3 Zn 2.62-2.69, 1 Al 2.77
Zn 0.8264 0.5121 0.1120  1 Al 2.64, 3 Zn 2.66-2.79, 4 Mg 2.86-2.94
Mg 0.0024 0.0024 0.2500  8 Zn 2.98-3.14, 4 Mg 3.04-3.13, 4 Al 3.19
Zn 0.8250 0.0156 0.1111  1 Al 2.62, 4 Zn 2.66-2.72, 2 Mg 2.92-2.94
Mg 0.3511 0.9791 0.7500  4 Mg 2.96-3.13, 4 Al 3.01-3.23, 7 Zn 3.12-3.22
Mg 0.9791 0.3511 0.7500  4 Mg 2.96-3.13, 4 Al 3.01-3.23, 7 Zn 3.12-3.22
Mg 0.4195 0.8214 0.8814  4 Zn 2.79-2.96, 2 Al 2.97-3.00, 3 Mg 3.03-3.06
Zn 0.3763 0.1953 0.2500  1 Zn 2.58, 2 Al 2.69, 1 Mg 2.69
Mg 0.5805 0.1786 0.1186  4 Zn 2.79-2.96, 2 Al 2.97-3.00, 3 Mg 3.03-3.06
Mg 0.1786 0.5805 0.3814  4 Zn 2.79-2.96, 2 Al 2.97-3.00, 3 Mg 3.03-3.06
Mg 0.3193 0.9570 0.0238  5 Zn 2.89-3.04, 4 Mg 2.91-3.11, 1 Al 3.05
Mg 0.4791 0.4791 0.1188  5 Zn 2.84-2.99, 4 Mg 3.00-3.03
Mg 0.9570 0.3193 0.0238  5 Zn 2.89-3.04, 4 Mg 2.91-3.11, 1 Al 3.05
Al 0.9140 0.2925 0.3209  3 Zn 2.62-2.69, 1 Al 2.77
Al 0.7075 0.0860 0.6791  3 Zn 2.62-2.69, 1 Al 2.77
Al 0.2925 0.9140 0.3209  3 Zn 2.62-2.69, 1 Al 2.77
Zn 0.2655 0.2655 0.8170  5 Zn 2.62-2.71, 3 Mg 2.84-2.89
Zn 0.7345 0.7345 0.1830  5 Zn 2.62-2.71, 3 Mg 2.84-2.89
Zn 0.1736 0.4879 0.8880  1 Al 2.64, 3 Zn 2.66-2.79, 4 Mg 2.86-2.94
Mg 0.4195 0.8214 0.6186  4 Zn 2.79-2.96, 2 Al 2.97-3.00, 3 Mg 3.03-3.06
Mg 0.5805 0.1786 0.3814  4 Zn 2.79-2.96, 2 Al 2.97-3.00, 3 Mg 3.03-3.06
Zn 0.1750 0.9844 0.8889  1 Al 2.62, 4 Zn 2.66-2.72, 2 Mg 2.92-2.94
Mg 0.3193 0.9570 0.4762  5 Zn 2.89-3.04, 4 Mg 2.91-3.11, 1 Al 3.05
Zn 0.6314 0.3686 0.0000  2 Zn 2.79, 8 Mg 2.79-3.04
Al 0.0860 0.7075 0.6791  3 Zn 2.62-2.69, 1 Al 2.77
Mg 0.5759 0.3232 0.7500  5 Zn 2.69-2.97, 1 Mg 2.96
Mg 0.6489 0.0209 0.2500  4 Mg 2.96-3.13, 4 Al 3.01-3.23, 7 Zn 3.12-3.22
Zn 0.0156 0.8250 0.1111  1 Al 2.62, 4 Zn 2.66-2.72, 2 Mg 2.92-2.94

## Properties
Theoretical density (Mg/m³): 3.712
DFT total energy (Ry per atom): -0.12981
Total magnetization (μB per cell): 0.00
Formation enthalpy at 0 K (eV per atom): -0.075

---

Record 2
The following is a PBE-GGA calculation of a relaxed structure of Mg4AlZn11, from Materials Project.

a b c (Å): 5.2382 5.2382 11.8156
angles (deg): 90.00 90.00 118.67
Closest atoms and distances in Å follow each position.
Positions (direct):
Zn 0.3336 0.1658 0.6895  8 Zn 2.62-2.82, 1 Al 2.70, 1 Mg 2.75
Zn 0.8335 0.1665 0.6888  8 Zn 2.62-2.86, 1 Al 2.71, 1 Mg 2.75
Zn 0.6641 0.3359 0.1129  4 Zn 2.67-2.80
Mg 0.0009 0.9991 0.1170  6 Zn 2.75-3.05, 2 Mg 2.76-3.06
Mg 0.0009 0.9991 0.8830  6 Zn 2.75-3.05, 2 Mg 2.76-3.06
Mg 0.3345 0.6655 0.1646  2 Zn 2.74-3.03, 1 Mg 3.06
Zn 0.3336 0.1658 0.3105  8 Zn 2.62-2.82, 1 Al 2.70, 1 Mg 2.75
Zn 0.8342 0.6664 0.6895  8 Zn 2.62-2.82, 1 Al 2.70, 1 Mg 2.75
Zn 0.3333 0.6667 0.6031  1 Zn 2.44
Zn 0.6641 0.3359 0.8871  4 Zn 2.67-2.80
Mg 0.3345 0.6655 0.8354  2 Zn 2.74-3.03, 1 Mg 3.06
Al 0.6625 0.3375 0.5000  6 Zn 2.70-2.71
Zn 0.8335 0.1665 0.3112  8 Zn 2.62-2.86, 1 Al 2.71, 1 Mg 2.75
Zn 0.3333 0.6667 0.3969  1 Zn 2.44
Zn 0.0027 0.9973 0.5000  6 Zn 2.70-2.71
Zn 0.8342 0.6664 0.3105  8 Zn 2.62-2.82, 1 Al 2.70, 1 Mg 2.75

## Properties
Theoretical density (Mg/m³): 4.925
DFT total energy (Ry per atom): -0.10661
Total magnetization (μB per cell): 0.00
Formation enthalpy at 0 K (eV per atom): 0.050

---

Record 3
The following is a PBE-GGA calculation of a relaxed structure of Mg6AlZn, from Materials Project.

a b c (Å): 4.9541 6.2689 10.7017
angles (deg): 90.00 90.00 90.00
Closest atoms and distances in Å follow each position.
Positions (direct):
Mg 0.0000 0.7499 0.0836  8 Mg 3.07-3.14, 2 Zn 3.09-3.11, 2 Al 3.09-3.11
Mg 0.5000 0.0000 0.6690  2 Al 3.04, 10 Mg 3.06-3.14
Zn 0.0000 0.0000 0.3329  10 Mg 3.03-3.11, 2 Al 3.13
Mg 0.0000 0.2499 0.5836  8 Mg 3.07-3.14, 2 Zn 3.09-3.11, 2 Al 3.09-3.11
Mg 0.5000 0.2494 0.4141  8 Mg 3.05-3.15, 2 Zn 3.06, 2 Al 3.06
Mg 0.5000 0.7494 0.9141  8 Mg 3.05-3.15, 2 Zn 3.06, 2 Al 3.06
Mg 0.5000 0.7506 0.4141  8 Mg 3.05-3.15, 2 Zn 3.06, 2 Al 3.06
Zn 0.0000 0.5000 0.8329  10 Mg 3.03-3.11, 2 Al 3.13
Al 0.0000 0.0000 0.8330  10 Mg 3.04-3.11, 2 Zn 3.13
Mg 0.5000 0.2506 0.9141  8 Mg 3.05-3.15, 2 Zn 3.06, 2 Al 3.06
Mg 0.5000 0.5000 0.6696  2 Zn 3.03, 10 Mg 3.05-3.15
Mg 0.0000 0.7501 0.5836  8 Mg 3.07-3.14, 2 Zn 3.09-3.11, 2 Al 3.09-3.11
Mg 0.5000 0.5000 0.1690  2 Al 3.04, 10 Mg 3.06-3.14
Al 0.0000 0.5000 0.3330  10 Mg 3.04-3.11, 2 Zn 3.13
Mg 0.5000 0.0000 0.1696  2 Zn 3.03, 10 Mg 3.05-3.15
Mg 0.0000 0.2501 0.0836  8 Mg 3.07-3.14, 2 Zn 3.09-3.11, 2 Al 3.09-3.11

## Properties
Polymorph energy (0 for the lowest one) (eV/atom): 0.000
Theoretical density (Mg/m³): 2.380
DFT total energy (Ry per atom): -0.13341
Total magnetization (μB per cell): 0.00
Formation enthalpy at 0 K (eV per atom): 0.011

---

Record 4
The following is a PBE-GGA calculation of a relaxed structure of Mg6ZrAl, from Materials Project.

a b c (Å): 5.0368 6.1068 11.2314
angles (deg): 90.00 90.00 90.00
Closest atoms and distances in Å follow each position.
Positions (direct):
Mg 0.0000 0.7484 0.0824  8 Mg 3.03-3.25, 2 Al 3.10, 2 Zr 3.11
Mg 0.5000 0.2493 0.9200  8 Mg 3.04-3.13, 2 Al 3.16-3.23, 2 Zr 3.17-3.22
Mg 0.0000 0.5000 0.3297  10 Mg 3.05-3.23, 2 Zr 3.08
Mg 0.0000 0.2484 0.5824  8 Mg 3.03-3.25, 2 Al 3.10, 2 Zr 3.11
Mg 0.0000 0.2516 0.0824  8 Mg 3.03-3.25, 2 Al 3.10, 2 Zr 3.11
Mg 0.0000 0.0000 0.8297  10 Mg 3.05-3.23, 2 Zr 3.08
Zr 0.5000 0.5000 0.1724  2 Al 3.05, 10 Mg 3.08-3.22
Mg 0.5000 0.7493 0.4200  8 Mg 3.04-3.13, 2 Al 3.16-3.23, 2 Zr 3.17-3.22
Mg 0.5000 0.2507 0.4200  8 Mg 3.04-3.13, 2 Al 3.16-3.23, 2 Zr 3.17-3.22
Zr 0.5000 0.0000 0.6724  2 Al 3.05, 10 Mg 3.08-3.22
Al 0.5000 0.0000 0.1664  2 Zr 3.05, 10 Mg 3.10-3.23
Mg 0.0000 0.0000 0.3268  10 Mg 3.05-3.25, 2 Al 3.10
Mg 0.0000 0.7516 0.5824  8 Mg 3.03-3.25, 2 Al 3.10, 2 Zr 3.11
Mg 0.5000 0.7507 0.9200  8 Mg 3.04-3.13, 2 Al 3.16-3.23, 2 Zr 3.17-3.22
Al 0.5000 0.5000 0.6664  2 Zr 3.05, 10 Mg 3.10-3.23
Mg 0.0000 0.5000 0.8268  10 Mg 3.05-3.25, 2 Al 3.10

## Properties
Polymorph energy (0 for the lowest one) (eV/atom): 0.000
Theoretical density (Mg/m³): 2.538
DFT total energy (Ry per atom): -0.20049
Total magnetization (μB per cell): 0.01
Formation enthalpy at 0 K (eV per atom): 0.009

---

Record 5
The following is a PBE-GGA calculation of a relaxed structure of Mg6ZrAl, from Materials Project.

a b c (Å): 4.9333 6.4060 11.0232
angles (deg): 90.00 90.00 90.00
Closest atoms and distances in Å follow each position.
Positions (direct):
Mg 0.0000 0.2490 0.5839  8 Mg 3.07-3.22, 2 Al 3.08-3.30, 2 Zr 3.10
Mg 0.0000 0.2510 0.0839  8 Mg 3.07-3.22, 2 Al 3.08-3.30, 2 Zr 3.10
Mg 0.5000 0.7532 0.9178  8 Mg 3.07-3.24, 2 Al 3.11, 2 Zr 3.11-3.26
Mg 0.5000 0.5000 0.6660  10 Mg 3.08-3.22, 2 Zr 3.20
Al 0.0000 0.5000 0.3229  2 Zr 2.96, 10 Mg 3.08-3.30
Mg 0.0000 0.5000 0.8330  10 Mg 3.08-3.19, 2 Al 3.20
Mg 0.5000 0.0000 0.1660  10 Mg 3.08-3.22, 2 Zr 3.20
Zr 0.5000 0.0000 0.6747  2 Al 2.96, 10 Mg 3.10-3.26
Mg 0.0000 0.7510 0.5839  8 Mg 3.07-3.22, 2 Al 3.08-3.30, 2 Zr 3.10
Mg 0.0000 0.0000 0.3330  10 Mg 3.08-3.19, 2 Al 3.20
Mg 0.5000 0.2532 0.4178  8 Mg 3.07-3.24, 2 Al 3.11, 2 Zr 3.11-3.26
Zr 0.5000 0.5000 0.1747  2 Al 2.96, 10 Mg 3.10-3.26
Al 0.0000 0.0000 0.8229  2 Zr 2.96, 10 Mg 3.08-3.30
Mg 0.5000 0.7468 0.4178  8 Mg 3.07-3.24, 2 Al 3.11, 2 Zr 3.11-3.26
Mg 0.0000 0.7490 0.0839  8 Mg 3.07-3.22, 2 Al 3.08-3.30, 2 Zr 3.10
Mg 0.5000 0.2468 0.9178  8 Mg 3.07-3.24, 2 Al 3.11, 2 Zr 3.11-3.26

## Properties
Polymorph energy (0 for the lowest one) (eV/atom): 0.005
Theoretical density (Mg/m³): 2.517
DFT total energy (Ry per atom): -0.20013
Total magnetization (μB per cell): 0.01
Formation enthalpy at 0 K (eV per atom): 0.014

---

Record 6
The following is a PBE-GGA calculation of a relaxed structure of Mn4Al11, from Materials Project.

a b c (Å): 5.0263 5.0466 8.7736
angles (deg): 105.30 90.08 100.41
Closest atoms and distances in Å follow each position.
Positions (direct):
Al 0.4935 0.8924 0.1252  4 Mn 2.54-2.75, 5 Al 2.63-2.80
Mn 0.2858 0.1497 0.5986  5 Al 2.38-2.61
Al 0.5670 0.3283 0.3739  4 Mn 2.52-2.72, 5 Al 2.57-2.68
Al 0.9488 0.8194 0.6751  2 Mn 2.38-2.52, 3 Al 2.57-2.66
Mn 0.6646 0.6110 0.8668  8 Al 2.38-2.61
Al 0.8009 0.2696 0.6325  4 Mn 2.49-2.61, 4 Al 2.62-2.66
Al 0.1991 0.7304 0.3675  4 Mn 2.49-2.61, 4 Al 2.62-2.66
Mn 0.7142 0.8503 0.4014  5 Al 2.38-2.61
Al 0.5065 0.1076 0.8748  4 Mn 2.54-2.75, 5 Al 2.63-2.80
Al 0.4330 0.6717 0.6261  4 Mn 2.52-2.72, 5 Al 2.57-2.68
Al 0.0000 0.0000 0.0000  2 Mn 2.38
Mn 0.3354 0.3890 0.1332  8 Al 2.38-2.61
Al 0.0512 0.1806 0.3249  2 Mn 2.38-2.52, 3 Al 2.57-2.66
Al 0.8448 0.5311 0.1267  4 Mn 2.54-2.69, 3 Al 2.62-2.76
Al 0.1552 0.4689 0.8733  4 Mn 2.54-2.69, 3 Al 2.62-2.76

## Properties
Theoretical density (Mg/m³): 4.068
DFT total energy (Ry per atom): -0.40181
Formation enthalpy at 0 K (eV per atom): -0.277